# 1
This record from Materials Project describes K2ZnN4 after structural relaxation. The functional is PBE.

Computed properties:
- symmetry = No. 2
- energy relative to the elements (eV per atom) = 1.382

```
K2ZnN4
1.0
7.0005 0.0000 0.0000
3.3781 6.2922 0.0000
2.7594 1.2922 7.5975
K Zn N
4 2 8
Cartesian
2.7362 1.9686 1.2174
3.8822 1.9094 5.0269
9.2559 5.6750 2.5706
10.4019 5.6158 6.3800
5.8488 4.7836 1.8482
7.2893 2.8009 5.7493
4.3742 3.7932 2.5729
5.7764 3.9353 6.1588
5.2701 5.6649 0.1848
6.4764 6.1956 3.0193
6.6617 1.3888 4.5782
7.8680 1.9195 7.4127
7.3617 3.6491 1.4386
8.7639 3.7912 5.0245
```

***

# 2
This record from Materials Project describes KNaNdNbO5 after structural relaxation. The functional is PBE.

Computed properties:
- symmetry = No. 129
- energy relative to the elements (eV per atom) = -3.006

```
KNaNdNbO5
1.0
5.7887 0.0000 0.0000
0.0000 5.7887 0.0000
0.0000 0.0000 8.3876
K Na Nd Nb O
2 2 2 2 10
Cartesian
1.4472 4.3415 0.0000
4.3415 1.4472 0.0000
1.4472 1.4472 2.0227
4.3415 4.3415 6.3649
1.4472 4.3415 4.1938
4.3415 1.4472 4.1938
1.4472 1.4472 6.2279
4.3415 4.3415 2.1597
0.1109 0.1109 5.6192
0.1109 2.7834 5.6192
1.4472 1.4472 8.0992
2.7834 0.1109 5.6192
2.7834 2.7834 5.6192
3.0052 3.0052 2.7684
3.0052 5.6778 2.7684
4.3415 4.3415 0.2884
5.6778 3.0052 2.7684
5.6778 5.6778 2.7684
```

***

# 3
This record from Materials Project describes KNaPrNbO5 after structural relaxation. The functional is PBE.

Computed properties:
- symmetry = No. 129
- energy relative to the elements (eV per atom) = -2.999

```
KNaPrNbO5
1.0
5.8168 0.0000 0.0000
0.0000 5.8168 0.0000
0.0000 0.0000 8.3918
K Na Pr Nb O
2 2 2 2 10
Cartesian
1.4542 4.3626 0.0000
4.3626 1.4542 0.0000
1.4542 1.4542 2.0232
4.3626 4.3626 6.3686
1.4542 4.3626 4.1959
4.3626 1.4542 4.1959
1.4542 1.4542 6.2410
4.3626 4.3626 2.1508
0.1155 0.1155 5.6370
0.1155 2.7929 5.6370
1.4542 1.4542 8.1098
2.7929 0.1155 5.6370
2.7929 2.7929 5.6370
3.0239 3.0239 2.7547
3.0239 5.7013 2.7547
4.3626 4.3626 0.2819
5.7013 3.0239 2.7547
5.7013 5.7013 2.7547
```

***

# 4
This record from Materials Project describes KNaSmNbO5 after structural relaxation. The functional is PBE.

Computed properties:
- symmetry = No. 129
- energy relative to the elements (eV per atom) = -3.016

```
KNaSmNbO5
1.0
5.7466 0.0000 0.0000
0.0000 5.7466 0.0000
0.0000 0.0000 8.3628
K Na Sm Nb O
2 2 2 2 10
Cartesian
1.4367 4.3100 0.0000
4.3100 1.4367 0.0000
1.4367 1.4367 2.0178
4.3100 4.3100 6.3450
1.4367 4.3100 4.1814
4.3100 1.4367 4.1814
1.4367 1.4367 6.1933
4.3100 4.3100 2.1696
0.1039 0.1039 5.5814
0.1039 2.7694 5.5814
1.4367 1.4367 8.0664
2.7694 0.1039 5.5814
2.7694 2.7694 5.5814
2.9772 2.9772 2.7814
2.9772 5.6428 2.7814
4.3100 4.3100 0.2964
5.6428 2.9772 2.7814
5.6428 5.6428 2.7814
```

***

# 5
This record from Materials Project describes K5Na3Ta4Nb4O24 after structural relaxation. The functional is PBE.

Computed properties:
- symmetry = No. 8
- energy relative to the elements (eV per atom) = -2.947

```
K5Na3Ta4Nb4O24
1.0
5.6897 -5.6897 0.0000
5.6897 5.6897 0.0000
0.0000 0.0000 8.0459
K Na Ta Nb O
5 3 4 4 24
Cartesian
0.0000 0.0000 0.0000
0.0000 0.0000 4.0244
8.5335 -2.8459 0.0000
8.5335 2.8459 0.0000
5.6877 0.0000 0.0001
8.5336 -2.8450 4.0238
8.5336 2.8450 4.0238
5.6886 0.0000 4.0238
5.6887 2.8421 2.0182
5.6887 -2.8421 2.0182
8.5308 0.0000 2.0180
8.5308 0.0000 6.0293
2.8465 0.0000 2.0179
2.8466 0.0000 6.0294
5.6887 2.8422 6.0296
5.6887 -2.8422 6.0296
7.1142 -4.2624 6.0285
9.9511 -1.4256 2.0191
2.8446 0.0000 0.0021
4.2675 1.4229 6.0235
4.2727 1.4281 2.0241
5.6887 2.8441 0.0096
7.1142 4.2624 6.0285
2.8517 0.0000 4.0225
5.6887 2.8370 4.0152
7.1090 4.2571 2.0190
4.2675 -1.4229 6.0235
7.1116 1.4212 2.0241
4.2727 -1.4281 2.0241
7.1169 1.4160 6.0234
9.9511 1.4256 2.0191
5.6887 -2.8370 4.0152
8.5256 0.0000 4.0225
9.9458 1.4203 6.0284
5.6887 -2.8441 0.0096
7.1116 -1.4212 2.0241
7.1169 -1.4160 6.0234
8.5328 0.0000 0.0021
7.1090 -4.2571 2.0190
9.9458 -1.4203 6.0284
```

***

# 6
This record from Materials Project describes K5Na3Ta3Nb5O20 after structural relaxation. The functional is PBE.

Computed properties:
- symmetry = No. 1
- energy relative to the elements (eV per atom) = -2.602

```
K5Na3Ta3Nb5O20
1.0
11.4988 0.0000 0.0000
-0.0545 11.5126 0.0000
-5.7344 -5.6891 15.8322
K Na Ta Nb O
20 12 12 20 80
Cartesian
0.0000 0.0000 0.0000
-2.9194 2.7821 7.9967
0.0093 5.7621 0.0363
-0.0586 0.0089 4.1677
-2.8823 2.8420 11.9099
-0.0129 5.7760 4.1062
-2.9683 2.9998 15.7720
2.9016 2.8937 0.0284
-0.0371 0.2006 11.9254
2.7307 8.6686 4.2163
0.0047 5.9048 11.9877
5.6917 11.4872 0.0377
0.0613 -0.0290 15.6938
5.6987 -0.0238 4.1271
2.8415 2.7895 12.1744
8.5608 8.6097 0.0394
8.6331 2.8203 0.0022
8.5049 8.6176 4.0811
5.6980 0.1418 11.9698
8.5700 2.8226 4.1765
-2.8521 -3.0001 12.3181
-0.0585 0.1428 7.7475
-0.0219 5.8646 7.6767
2.7825 2.9014 4.2842
2.8210 2.6956 7.6249
2.8724 8.3403 7.6703
5.6883 5.6163 4.4438
2.9366 -3.0202 12.2636
5.6897 0.1224 7.7423
5.7274 6.0000 7.6838
5.7028 5.9948 12.2482
8.5388 8.4627 7.5713
-0.0777 2.8755 6.0705
-0.0971 8.6283 6.0827
-2.9208 5.8131 13.9005
-2.8908 0.0522 13.9169
2.8074 -0.0194 6.0769
-0.0411 2.9338 13.9297
0.0174 -2.8282 13.8872
2.8635 0.0170 13.9142
2.8395 5.7774 13.8977
8.5257 5.7501 6.0321
5.7126 2.9393 13.8825
5.7566 -2.8246 13.9039
-2.9094 -0.7320 9.9393
-2.8586 5.6154 9.9248
-0.0155 8.5392 2.0662
0.0136 2.7453 2.0979
2.8763 0.1537 2.0977
3.0487 6.0608 2.1151
0.3392 3.3848 9.9099
0.4567 -2.4405 9.9077
2.8151 5.7102 6.0600
5.4699 8.0944 2.1014
2.8637 -0.6284 9.8963
5.8029 2.7639 2.1089
3.1367 5.1831 9.9258
5.6622 2.8656 6.0933
5.6521 8.6257 6.0360
5.4927 3.5814 9.9581
8.6101 5.8688 2.0730
8.6546 0.1031 2.0865
6.1759 -2.4771 9.9196
8.5264 -0.0218 6.0756
-0.0032 2.9185 0.0102
-5.7624 3.0101 15.8201
-3.3180 -2.7143 9.9321
-4.3666 4.3998 13.7006
-4.3089 -4.2448 13.8697
-4.2906 -1.3844 13.8051
-4.3230 1.4940 13.8416
-1.5143 7.1889 6.0451
-1.4614 1.4336 6.1081
-1.4966 4.3373 6.2306
-1.4748 -1.4938 6.3361
-3.0065 0.1060 11.6477
-2.9331 6.1088 11.7993
-0.0826 2.9773 4.0878
-0.0890 8.7477 4.1281
1.5125 7.3273 2.0380
1.6219 1.7011 2.1435
-1.1817 4.6870 9.8110
-0.9472 -1.0272 9.7467
2.7830 11.4674 0.0176
2.9299 5.7633 0.0137
0.0101 2.7279 8.1293
0.0002 8.2854 8.2156
-1.4533 -1.4030 13.7246
-1.4682 1.4786 13.7674
-1.4888 4.3743 13.7984
1.3833 1.4642 6.0183
1.3399 7.2109 6.0648
-1.4211 -4.2487 13.8773
1.3582 -1.4293 6.2650
1.3699 4.2947 6.1527
2.8038 5.6748 4.0179
0.0695 -2.9156 11.7268
2.8282 -0.1060 4.1243
0.0842 2.9668 11.8042
4.3727 1.4293 2.0756
2.6205 0.2660 8.2410
5.5735 8.5482 0.0625
0.0397 -2.7489 15.8185
2.8094 5.8906 8.1751
4.9801 6.1054 2.2733
2.2919 3.3580 9.7708
2.4561 -2.5955 9.9303
4.2036 1.4041 6.0707
1.4619 -1.4172 13.7361
1.3839 4.3548 13.9096
1.4089 1.4644 13.9069
4.2219 4.2955 6.1421
4.2037 -1.4293 6.2902
4.2446 7.1469 6.0553
1.4757 -4.2612 13.8385
2.7764 0.1113 11.6501
5.5342 8.6496 3.9815
2.8393 5.7499 11.7813
5.7234 3.0054 4.0737
7.2268 1.4651 2.0610
7.2607 7.2396 1.9932
4.8147 -0.9958 9.7389
5.4871 2.6656 8.2805
2.8777 -0.0630 15.8275
8.5993 11.4452 0.0128
5.7652 8.3452 8.1772
5.1503 5.5739 9.9544
4.2940 -1.4241 13.7289
7.1061 7.1536 5.9163
7.1061 1.4081 6.0712
7.1152 -1.4714 6.1344
4.2955 4.3747 13.8040
4.3362 -4.2727 13.8194
4.2962 1.4537 13.8928
7.1088 4.3644 6.2493
5.5537 2.8186 11.7345
5.8101 -2.9431 11.7527
8.5683 5.6121 4.0683
8.6259 -0.0971 4.0787
10.0974 1.4395 2.0492
10.1052 7.1404 2.0621
7.4223 4.1471 9.9349
8.2967 0.1550 8.3166
8.4514 6.1558 8.0939
```

***

# 7
This record from Materials Project describes K5Na3Ta6Nb2O24 after structural relaxation. The functional is PBE.

Computed properties:
- symmetry = No. 6
- energy relative to the elements (eV per atom) = -3.007

```
K5Na3Ta6Nb2O24
1.0
8.0485 0.0000 0.0000
0.0000 8.0484 0.0000
-0.0005 0.0000 8.0494
K Na Ta Nb O
5 3 6 2 24
Cartesian
8.0485 0.0000 0.0000
-0.0002 0.0000 4.0263
0.0000 4.0242 0.0000
-0.0002 4.0242 4.0264
4.0220 0.0000 8.0494
4.0231 0.0000 4.0256
4.0234 4.0242 0.0007
4.0231 4.0242 4.0256
2.0166 2.0139 2.0149
2.0166 6.0346 2.0149
6.0301 2.0139 2.0149
6.0298 2.0139 6.0361
6.0301 6.0345 2.0149
6.0298 6.0345 6.0361
2.0162 2.0139 6.0361
2.0162 6.0345 6.0361
8.0465 2.0130 2.0141
8.0465 6.0354 2.0141
2.0203 0.0000 2.0205
2.0198 0.0000 6.0307
2.0203 2.0194 0.0103
2.0203 6.0290 0.0103
2.0263 2.0129 4.0162
2.0265 4.0242 2.0140
2.0260 4.0242 6.0371
2.0263 6.0355 4.0162
4.0242 2.0192 2.0203
4.0242 6.0292 2.0203
4.0321 2.0192 6.0308
4.0321 6.0292 6.0308
6.0200 2.0130 4.0245
6.0202 4.0242 2.0141
6.0198 4.0242 6.0370
6.0200 6.0354 4.0245
6.0263 0.0000 2.0204
6.0260 0.0000 6.0306
6.0264 2.0194 0.0018
6.0264 6.0290 0.0018
8.0375 2.0130 6.0370
8.0375 6.0354 6.0370
```

***

Which calculated total energy belongs to each record? In order, -3.673, -7.296, -7.290, -7.300, -7.937, -7.625, -8.086 eV per atom.